! r2SCAN Pr10Se19, relaxed; values from VASP
&SYSTEM
  ibrav = 0, nat = 58, ntyp = 2
/
ATOMIC_SPECIES
Pr 140.91 Pr.upf
Se 78.96 Se.upf
CELL_PARAMETERS angstrom
-1.8331 -6.9881 -6.0061
6.0631 3.6966 -6.1515
12.6288 -9.2391 6.8954
ATOMIC_POSITIONS crystal
Pr 0.2500 0.7500 0.3843
Pr 0.2500 0.7500 0.8843
Pr 0.7500 0.2500 0.6157
Pr 0.7500 0.2500 0.1157
Pr 0.6475 0.5540 0.8950
Pr 0.4460 0.1475 0.3950
Pr 0.0540 0.3525 0.3950
Pr 0.8525 0.9460 0.8950
Pr 0.3525 0.4460 0.1050
Pr 0.5540 0.8525 0.6050
Pr 0.9460 0.6475 0.6050
Pr 0.1475 0.0540 0.1050
Pr 0.4572 0.1527 0.8795
Pr 0.8473 0.9572 0.3795
Pr 0.6527 0.5428 0.3795
Pr 0.0428 0.3473 0.8795
Pr 0.5428 0.8473 0.1205
Pr 0.1527 0.0428 0.6205
Pr 0.3473 0.4572 0.6205
Pr 0.9572 0.6527 0.1205
Se 0.2500 0.7500 0.0652
Se 0.2500 0.7500 0.5652
Se 0.7500 0.2500 0.9348
Se 0.7500 0.2500 0.4348
Se 0.6491 0.5532 0.5628
Se 0.4468 0.1491 0.0628
Se 0.0532 0.3509 0.0628
Se 0.8509 0.9468 0.5628
Se 0.3509 0.4468 0.4372
Se 0.5532 0.8509 0.9372
Se 0.9468 0.6491 0.9372
Se 0.1491 0.0532 0.4372
Se 0.0490 0.3480 0.5721
Se 0.6520 0.5490 0.0721
Se 0.8480 0.9510 0.0721
Se 0.4510 0.1520 0.5721
Se 0.9510 0.6520 0.4279
Se 0.3480 0.4510 0.9279
Se 0.1520 0.0490 0.9279
Se 0.5490 0.8480 0.4279
Se 0.0690 0.8835 0.2496
Se 0.1165 0.5690 0.7496
Se 0.3835 0.9310 0.7496
Se 0.4310 0.6165 0.2496
Se 0.9310 0.1165 0.7504
Se 0.8835 0.4310 0.2504
Se 0.6165 0.0690 0.2504
Se 0.5690 0.3835 0.7504
Se 0.3225 0.9712 0.2503
Se 0.0288 0.8225 0.7503
Se 0.4712 0.6775 0.7503
Se 0.1775 0.5288 0.2503
Se 0.6775 0.0288 0.7497
Se 0.9712 0.1775 0.2497
Se 0.5288 0.3225 0.2497
Se 0.8225 0.4712 0.7497
Se 0.2500 0.2500 0.7500
Se 0.7500 0.7500 0.2500
! * calculated formation energy: -1.954 eV/atom
! * spin magnetization: 0.0000 μB/atom